Computed, not measured: crystalline Na6Se2O9 at its relaxed geometry at the PBE level of DFT.

## Properties
As for the energy relative to the elements: -1.711 eV per atom.

Cell lengths 7.9251, 14.9398, 16.0798 Å; angles 90.00, 90.00, 90.00 degrees
Closest atoms and distances in Å follow each position.
Element x y z (fractional)
O 0.7500 0.8067 0.9562  1 Se 1.68
Na 0.7500 0.2403 0.6211  2 O 2.19-2.21
O 0.7500 0.4272 0.0552  1 Se 1.67
Na 0.2500 0.0479 0.1370  1 O 2.24
Na 0.7500 0.7312 0.6132  2 O 2.14
O 0.2500 0.7730 0.0128  1 Se 1.86
Se 0.2500 0.0165 0.3821  4 O 1.67-1.68
Na 0.4594 0.6570 0.0218  6 O 2.39-2.55
Se 0.2500 0.5207 0.3670  4 O 1.68
O 0.5762 0.0854 0.1353  1 Se 1.68
Se 0.7500 0.9835 0.6179  4 O 1.67-1.68
Se 0.7500 0.7379 0.8735  4 O 1.68-1.69
Se 0.2500 0.2621 0.1265  4 O 1.68-1.69
Na 0.7500 0.9928 0.3646  2 O 2.31-2.50
O 0.2500 0.9272 0.4448  1 Se 1.67
O 0.7500 0.1475 0.3713  1 Se 1.88
Na 0.9697 0.1590 0.2711  6 O 2.36-2.48
Na 0.9594 0.1570 0.4782  6 O 2.39-2.55
Na 0.2500 0.2312 0.8868  2 O 2.14
Na 0.4697 0.8410 0.7289  6 O 2.36-2.48
O 0.2500 0.3067 0.5438  1 Se 1.68
Na 0.7500 0.5479 0.3630  1 O 2.24
O 0.0779 0.3276 0.1252  1 Se 1.68
O 0.7500 0.6933 0.4562  1 Se 1.68
Se 0.7500 0.2731 0.3716  6 O 1.84-1.88
Na 0.9682 0.1212 0.9817  5 O 2.34-2.59
Na 0.0318 0.8788 0.0183  5 O 2.34-2.59
Na 0.4682 0.8788 0.0183  5 O 2.34-2.59
O 0.9238 0.0854 0.1353  1 Se 1.68
Se 0.7500 0.5165 0.1179  4 O 1.67-1.68
Na 0.4654 0.6187 0.7380  6 O 2.36-2.51
O 0.4238 0.9146 0.8647  1 Se 1.68
Na 0.5346 0.3813 0.2620  6 O 2.36-2.51
O 0.9819 0.2735 0.3721  1 Se 1.84
Se 0.2500 0.2379 0.6265  4 O 1.68-1.69
Na 0.0303 0.6590 0.2289  6 O 2.36-2.48
O 0.7500 0.3525 0.8713  1 Se 1.88
Na 0.9697 0.3410 0.7711  6 O 2.36-2.48
Na 0.4654 0.8813 0.2380  6 O 2.36-2.51
O 0.4238 0.5854 0.3647  1 Se 1.68
O 0.2500 0.8525 0.6287  1 Se 1.88
O 0.7500 0.2279 0.7565  1 Se 1.85
O 0.0779 0.1724 0.6252  1 Se 1.68
O 0.2500 0.6016 0.6285  1 Se 1.87
Na 0.0346 0.6187 0.7380  6 O 2.36-2.51
Na 0.9654 0.1187 0.7620  6 O 2.36-2.51
O 0.5771 0.5161 0.1783  1 Se 1.68
Na 0.5303 0.1590 0.2711  6 O 2.36-2.48
O 0.4221 0.3276 0.1252  1 Se 1.68
O 0.2500 0.6475 0.1287  1 Se 1.88
Se 0.2500 0.9793 0.8670  4 O 1.68
O 0.9221 0.6724 0.8748  1 Se 1.68
O 0.7500 0.2270 0.9872  1 Se 1.86
O 0.2500 0.0376 0.9562  1 Se 1.68
Se 0.7500 0.7621 0.3735  4 O 1.68-1.69
Na 0.2500 0.7403 0.8789  2 O 2.19-2.21
Na 0.2500 0.4928 0.1354  2 O 2.31-2.50
O 0.2500 0.7721 0.2435  1 Se 1.85
O 0.9819 0.2265 0.8721  1 Se 1.84
Na 0.2500 0.7597 0.3789  2 O 2.19-2.21
O 0.9229 0.9839 0.6783  1 Se 1.68
Na 0.0346 0.8813 0.2380  6 O 2.36-2.51
O 0.2500 0.1933 0.0438  1 Se 1.68
Se 0.2500 0.7269 0.6284  6 O 1.84-1.88
O 0.7500 0.3984 0.3715  1 Se 1.87
Se 0.7500 0.0207 0.1330  4 O 1.68
O 0.2500 0.1971 0.2123  1 Se 1.69
Na 0.0406 0.6570 0.0218  6 O 2.39-2.55
O 0.0762 0.9146 0.8647  1 Se 1.68
O 0.2500 0.7270 0.5128  1 Se 1.86
Na 0.5318 0.1212 0.9817  5 O 2.34-2.59
O 0.7500 0.5376 0.5438  1 Se 1.68
Se 0.7500 0.4793 0.6330  4 O 1.68
O 0.4819 0.7265 0.6279  1 Se 1.84
O 0.7500 0.6095 0.0588  1 Se 1.68
Na 0.7500 0.7688 0.1132  2 O 2.14
O 0.2500 0.8984 0.1285  1 Se 1.87
O 0.4819 0.7735 0.1279  1 Se 1.84
Na 0.7500 0.9521 0.8630  1 O 2.24
O 0.7500 0.2730 0.4872  1 Se 1.86
O 0.7500 0.8905 0.5588  1 Se 1.68
O 0.7500 0.0728 0.5552  1 Se 1.67
O 0.2500 0.3029 0.7123  1 Se 1.69
Na 0.7500 0.5072 0.8646  2 O 2.31-2.50
Na 0.2500 0.4521 0.6370  1 O 2.24
O 0.7500 0.8029 0.7877  1 Se 1.69
O 0.9229 0.5161 0.1783  1 Se 1.68
O 0.0181 0.7265 0.6279  1 Se 1.84
Na 0.5406 0.3430 0.9782  6 O 2.39-2.55
O 0.5771 0.9839 0.6783  1 Se 1.68
Na 0.9682 0.3788 0.4817  5 O 2.34-2.59
O 0.5779 0.6724 0.8748  1 Se 1.68
Se 0.2500 0.7731 0.1284  6 O 1.84-1.88
O 0.9238 0.4146 0.6353  1 Se 1.68
O 0.2500 0.7279 0.7435  1 Se 1.85
O 0.5181 0.2735 0.3721  1 Se 1.84
O 0.4229 0.0161 0.3217  1 Se 1.68
Se 0.7500 0.2269 0.8716  6 O 1.84-1.88
O 0.2500 0.5728 0.9448  1 Se 1.67
Na 0.5346 0.1187 0.7620  6 O 2.36-2.51
O 0.0762 0.5854 0.3647  1 Se 1.68
Na 0.7500 0.2597 0.1211  2 O 2.19-2.21
O 0.0181 0.7735 0.1279  1 Se 1.84
Na 0.5406 0.1570 0.4782  6 O 2.39-2.55
Na 0.4682 0.6212 0.5183  5 O 2.34-2.59
Na 0.4697 0.6590 0.2289  6 O 2.36-2.48
O 0.5762 0.4146 0.6353  1 Se 1.68
O 0.2500 0.4499 0.2857  1 Se 1.68
Na 0.2500 0.2688 0.3868  2 O 2.14
O 0.4221 0.1724 0.6252  1 Se 1.68
Na 0.0318 0.6212 0.5183  5 O 2.34-2.59
Na 0.9594 0.3430 0.9782  6 O 2.39-2.55
O 0.5779 0.8276 0.3748  1 Se 1.68
Na 0.4594 0.8430 0.5218  6 O 2.39-2.55
O 0.7500 0.2721 0.2565  1 Se 1.85
O 0.0771 0.0161 0.3217  1 Se 1.68
O 0.7500 0.9499 0.2143  1 Se 1.68
O 0.9221 0.8276 0.3748  1 Se 1.68
Na 0.5303 0.3410 0.7711  6 O 2.36-2.48
O 0.4229 0.4839 0.8217  1 Se 1.68
O 0.2500 0.4624 0.4562  1 Se 1.68
O 0.2500 0.0501 0.7857  1 Se 1.68
O 0.7500 0.1016 0.8715  1 Se 1.87
Na 0.5318 0.3788 0.4817  5 O 2.34-2.59
O 0.7500 0.9624 0.0438  1 Se 1.68
Na 0.2500 0.0072 0.6354  2 O 2.31-2.50
O 0.7500 0.6971 0.2877  1 Se 1.69
O 0.2500 0.3905 0.9412  1 Se 1.68
O 0.0771 0.4839 0.8217  1 Se 1.68
Se 0.2500 0.4835 0.8821  4 O 1.67-1.68
O 0.2500 0.1095 0.4412  1 Se 1.68
O 0.7500 0.5501 0.7143  1 Se 1.68
O 0.5181 0.2265 0.8721  1 Se 1.84
Na 0.0303 0.8410 0.7289  6 O 2.36-2.48
Na 0.9654 0.3813 0.2620  6 O 2.36-2.51
Na 0.0406 0.8430 0.5218  6 O 2.39-2.55

***

Computed, not measured: crystalline Na2SeO9 at its relaxed geometry at the PBE level of DFT.

## Properties
As for the energy relative to the elements: -0.640 eV per atom.

Cell lengths 7.8800, 7.8800, 12.0388 Å; angles 90.00, 90.00, 90.00 degrees
Closest atoms and distances in Å follow each position.
Element x y z (fractional)
Na 0.6849 0.5000 0.7500  4 O 2.30-2.43
O 0.9890 0.5650 0.0514  1 O 1.25
O 0.3541 0.5675 0.4345  1 Se 1.71
O 0.8574 0.2157 0.7376  1 O 1.27
O 0.4325 0.3541 0.6845  1 Se 1.71
Na 0.0000 0.7517 0.5000  6 O 2.53-2.57
O 0.5675 0.6459 0.1845  1 Se 1.71
O 0.3212 0.6788 0.6250  2 Se 2.06
O 0.4350 0.9890 0.3014  1 O 1.25
Na 0.5000 0.6849 0.0000  4 O 2.30-2.43
O 0.8118 0.9906 0.0439  1 O 1.27
O 0.1882 0.9906 0.9561  1 O 1.27
O 0.4325 0.6459 0.8155  1 Se 1.71
O 0.7843 0.1426 0.5124  1 O 1.27
O 0.9890 0.4350 0.4486  1 O 1.25
O 0.8118 0.0094 0.4561  1 O 1.27
Se 0.5000 0.6930 0.5000  2 O 1.71
O 0.5675 0.3541 0.3155  1 Se 1.71
O 0.1882 0.0094 0.5439  1 O 1.27
O 0.9906 0.8118 0.7061  1 O 1.27
O 0.6459 0.4325 0.9345  1 Se 1.71
O 0.5650 0.0110 0.8014  1 O 1.25
Se 0.3070 0.5000 0.7500  2 O 1.71
O 0.0094 0.1882 0.2061  1 O 1.27
O 0.6459 0.5675 0.5655  1 Se 1.71
Na 0.3151 0.5000 0.2500  4 O 2.30-2.43
O 0.3541 0.4325 0.0655  1 Se 1.71
O 0.6788 0.3212 0.1250  2 Se 2.06
Na 0.7517 0.0000 0.2500  6 O 2.53-2.57
Na 0.0000 0.2483 0.0000  6 O 2.53-2.57
O 0.5650 0.9890 0.6986  1 O 1.25
O 0.1426 0.7843 0.2376  1 O 1.27
O 0.3212 0.3212 0.8750  2 Se 2.06
O 0.8574 0.7843 0.7624  1 O 1.27
O 0.0110 0.4350 0.5514  1 O 1.25
Na 0.2483 0.0000 0.7500  6 O 2.53-2.57
O 0.7843 0.8574 0.9876  1 O 1.27
O 0.0094 0.8118 0.2939  1 O 1.27
O 0.9906 0.1882 0.7939  1 O 1.27
O 0.2157 0.8574 0.0124  1 O 1.27
O 0.4350 0.0110 0.1986  1 O 1.25
O 0.1426 0.2157 0.2624  1 O 1.27
O 0.0110 0.5650 0.9486  1 O 1.25
Se 0.5000 0.3070 0.0000  2 O 1.71
Se 0.6930 0.5000 0.2500  2 O 1.71
O 0.6788 0.6788 0.3750  2 Se 2.06
Na 0.5000 0.3151 0.5000  4 O 2.30-2.43
O 0.2157 0.1426 0.4876  1 O 1.27

***

Computed, not measured: crystalline Na2Se2O7 at its relaxed geometry at the PBE level of DFT.

## Properties
As for the energy relative to the elements: -1.495 eV per atom.

Cell lengths 7.1610, 7.2124, 7.2759 Å; angles 64.91, 83.33, 83.15 degrees
Closest atoms and distances in Å follow each position.
Element x y z (fractional)
O 0.0074 0.8268 0.3839  1 Se 1.66
O 0.6010 0.3646 0.8970  1 Se 1.64
Se 0.8559 0.7569 0.2738  4 O 1.64-1.81
O 0.4088 0.1025 0.2505  1 Se 1.65
Na 0.0893 0.2761 0.2347  5 O 2.46-2.58
O 0.0474 0.3555 0.8725  1 Se 1.64
O 0.2606 0.7522 0.7211  1 Se 1.64
O 0.3153 0.3619 0.5595  1 Se 1.65
O 0.3990 0.6354 0.1030  1 Se 1.64
Na 0.6514 0.2665 0.6062  6 O 2.45-2.48
Se 0.1441 0.2431 0.7262  4 O 1.64-1.81
O 0.2515 0.0124 0.9166  2 Se 1.81-1.87
Na 0.3486 0.7335 0.3938  6 O 2.45-2.48
Na 0.9107 0.7239 0.7653  5 O 2.46-2.58
O 0.9526 0.6445 0.1275  1 Se 1.64
O 0.7485 0.9876 0.0834  2 Se 1.81-1.87
O 0.5912 0.8975 0.7495  1 Se 1.65
Se 0.3903 0.8013 0.8648  3 O 1.64-1.65
O 0.9926 0.1732 0.6161  1 Se 1.66
O 0.6847 0.6381 0.4405  1 Se 1.65
Se 0.6097 0.1987 0.1352  3 O 1.64-1.65
O 0.7394 0.2478 0.2789  1 Se 1.64

***

Computed, not measured: crystalline NaSe2O6 at its relaxed geometry at the PBE level of DFT.

## Properties
As for the energy relative to the elements: -1.080 eV per atom.

Cell lengths 5.2494, 5.9604, 11.9712 Å; angles 60.39, 90.00, 90.00 degrees
Closest atoms and distances in Å follow each position.
Element x y z (fractional)
O 0.7304 0.1009 0.0452  1 Se 1.66
O 0.2620 0.4302 0.3502  1 Se 1.66
Se 0.1769 0.1779 0.8319  3 O 1.66-1.67
O 0.7582 0.7790 0.3137  1 Se 1.67
O 0.2418 0.2210 0.6863  1 Se 1.67
O 0.7380 0.5698 0.6498  1 Se 1.66
O 0.2304 0.8991 0.4548  1 Se 1.66
O 0.2380 0.4302 0.8502  1 Se 1.66
Se 0.6769 0.8221 0.6681  3 O 1.66-1.67
Se 0.8231 0.8221 0.1681  3 O 1.66-1.67
O 0.2582 0.2210 0.1863  1 Se 1.67
Na 0.0000 0.5000 0.5000  6 O 2.38-2.48
O 0.7620 0.5698 0.1498  1 Se 1.66
O 0.2696 0.8991 0.9548  1 Se 1.66
O 0.7418 0.7790 0.8137  1 Se 1.67
Na 0.5000 0.5000 0.0000  6 O 2.38-2.48
Se 0.3231 0.1779 0.3319  3 O 1.66-1.67
O 0.7696 0.1009 0.5452  1 Se 1.66

***

Computed, not measured: crystalline Na4SeO5 at its relaxed geometry at the PBE level of DFT.

## Properties
As for the energy relative to the elements: -1.692 eV per atom.

Cell lengths 5.6767, 10.0040, 10.0277 Å; angles 113.35, 96.29, 95.76 degrees
Closest atoms and distances in Å follow each position.
Element x y z (fractional)
Na 0.5055 0.0994 0.9050  6 O 2.34-2.46
Na 0.2799 0.1665 0.3625  5 O 2.29-2.48
Na 0.2686 0.3594 0.1573  5 O 2.33-2.44
Na 0.7468 0.0564 0.4546  5 O 2.34-2.47
O 0.2115 0.6088 0.1907  1 Se 1.82
O 0.5197 0.8425 0.8475  1 Se 1.80
Se 0.4835 0.2949 0.7330  5 O 1.74-1.82
Na 0.7201 0.8335 0.6375  5 O 2.29-2.48
O 0.0517 0.3510 0.3421  1 Se 1.79
O 0.1343 0.7732 0.9255  1 Se 1.83
Na 0.4945 0.9006 0.0950  6 O 2.34-2.46
O 0.1166 0.9460 0.7721  1 Se 1.75
Na 0.9933 0.1938 0.7971  4 O 2.29-2.41
Na 0.2440 0.5523 0.9375  5 O 2.40-2.46
O 0.7878 0.8097 0.3970  1 Se 1.82
O 0.7885 0.3912 0.8093  1 Se 1.82
Na 0.9984 0.6024 0.4002  6 O 2.32-2.56
O 0.4108 0.4532 0.7071  1 Se 1.78
O 0.9483 0.6490 0.6579  1 Se 1.79
Se 0.2127 0.7796 0.7553  5 O 1.75-1.83
Na 0.0016 0.3976 0.5998  6 O 2.32-2.56
O 0.6012 0.1231 0.6834  1 Se 1.81
Se 0.5165 0.7051 0.2670  5 O 1.74-1.82
O 0.3248 0.7287 0.5847  1 Se 1.79
O 0.8657 0.2268 0.0745  1 Se 1.83
Na 0.7314 0.6406 0.8427  5 O 2.33-2.44
O 0.6752 0.2713 0.4153  1 Se 1.79
Na 0.5000 0.5000 0.5000  4 O 2.40-2.46
Na 0.0067 0.8062 0.2029  4 O 2.29-2.41
O 0.4803 0.1575 0.1525  1 Se 1.80
O 0.2122 0.1903 0.6030  1 Se 1.82
O 0.3801 0.3173 0.8967  1 Se 1.74
Na 0.2532 0.9436 0.5454  5 O 2.34-2.47
O 0.8834 0.0540 0.2279  1 Se 1.75
O 0.5892 0.5468 0.2929  1 Se 1.78
Na 0.0000 0.0000 0.0000  4 O 2.32-2.33
Se 0.7873 0.2204 0.2447  5 O 1.75-1.83
Na 0.7560 0.4477 0.0625  5 O 2.40-2.46
O 0.3988 0.8769 0.3166  1 Se 1.81
O 0.6199 0.6827 0.1033  1 Se 1.74

***

Computed, not measured: crystalline NaSeO3 at its relaxed geometry at the PBE level of DFT.

## Properties
As for the energy relative to the elements: -1.381 eV per atom.

Cell lengths 11.7123, 11.7123, 10.4876 Å; angles 78.60, 78.60, 29.19 degrees
Closest atoms and distances in Å follow each position.
Element x y z (fractional)
O 0.5954 0.7760 0.0650  1 Se 1.70
Na 0.8496 0.3986 0.1661  5 O 2.35-2.50
O 0.1662 0.2314 0.9768  1 Se 1.69
Se 0.6118 0.0540 0.0422  3 O 1.69-1.70
Na 0.0816 0.5185 0.2161  5 O 2.36-2.50
Na 0.3986 0.8496 0.6661  5 O 2.35-2.50
O 0.7892 0.1054 0.4586  1 Se 1.67
O 0.9547 0.8320 0.2120  1 Se 1.70
O 0.5174 0.8819 0.8079  1 Se 1.69
O 0.4046 0.2240 0.9350  1 Se 1.70
O 0.4269 0.4219 0.6439  1 Se 1.69
Na 0.1504 0.6014 0.8339  5 O 2.35-2.50
Se 0.2787 0.8298 0.3856  3 O 1.67-1.70
O 0.5731 0.5781 0.3561  1 Se 1.69
O 0.2108 0.8946 0.5414  1 Se 1.67
O 0.2314 0.1662 0.4768  1 Se 1.69
Se 0.7213 0.1702 0.6144  3 O 1.67-1.70
O 0.8320 0.9547 0.7120  1 Se 1.70
Se 0.8298 0.2787 0.8856  3 O 1.67-1.70
Na 0.6014 0.1504 0.3339  5 O 2.35-2.50
O 0.0453 0.1680 0.7880  1 Se 1.70
O 0.7686 0.8338 0.5232  1 Se 1.69
O 0.1181 0.4826 0.6921  1 Se 1.69
Se 0.0540 0.6118 0.5422  3 O 1.69-1.70
Na 0.4815 0.9184 0.2839  5 O 2.36-2.50
O 0.4826 0.1181 0.1921  1 Se 1.69
Se 0.1702 0.7213 0.1144  3 O 1.67-1.70
Na 0.9184 0.4815 0.7839  5 O 2.36-2.50
O 0.8819 0.5174 0.3079  1 Se 1.69
O 0.7760 0.5954 0.5650  1 Se 1.70
O 0.1680 0.0453 0.2880  1 Se 1.70
O 0.8338 0.7686 0.0232  1 Se 1.69
O 0.1054 0.7892 0.9586  1 Se 1.67
Se 0.9460 0.3882 0.4578  3 O 1.69-1.70
O 0.4219 0.4269 0.1439  1 Se 1.69
O 0.2240 0.4046 0.4350  1 Se 1.70
O 0.5781 0.5731 0.8561  1 Se 1.69
O 0.8946 0.2108 0.0414  1 Se 1.67
Na 0.5185 0.0816 0.7161  5 O 2.36-2.50
Se 0.3882 0.9460 0.9578  3 O 1.69-1.70

***

Question: The highest energy relative to the elements belongs to which entry?
Answer: Na2SeO9